First-principles (PBE-GGA) data for Ca8Mn3N8 after structural relaxation, as listed in the Materials Project database.

The structure belongs to space group C2/m (No. 12); the cell edges are 17.813, 5.001 and 7.150 Å and the angles 90.00°, 105.97° and 90.00°. The inequivalent atoms are Ca at (0.028, 0.000, 0.260), Ca at (0.098, 0.500, 0.958), Ca at (0.167, 0.500, 0.473), Ca at (0.199, 0.000, 0.805), Mn at (0.000, 0.500, 0.500), Mn at (0.187, 0.000, 0.205), N at (0.026, 0.500, 0.284), N at (0.102, 0.000, 0.003), N at (0.176, 0.000, 0.439) and N at (0.219, 0.500, 0.829).

The uncorrected energy comes out at -0.4865 Ry/atom. For the calculated density, the calculation gives 3.24 g cm⁻³. The calculation puts the calculated formation energy at -970 meV per atom.